Entry 1:
# CaAl4Tl4O12 (PBE, relaxed)
data_CaAl4Tl4O12
_cell_length_a 5.739
_cell_length_b 5.951
_cell_length_c 8.952
_cell_angle_alpha 83.66
_cell_angle_beta 81.63
_cell_angle_gamma 87.27
_space_group_name_H-M_alt 'P 1'
_space_group_IT_number 1
loop_
_space_group_symop_operation_xyz
'x,y,z'
loop_
_atom_site_label
_atom_site_type_symbol
_atom_site_fract_x
_atom_site_fract_y
_atom_site_fract_z
_atom_site_occupancy
Ca1 Ca 0.000 0.000 0.000 1
Al1 Al 0.068 0.585 0.403 1
Al2 Al 0.106 0.510 0.791 1
Al3 Al 0.564 0.338 0.474 1
Al4 Al 0.579 0.295 0.860 1
Tl1 Tl 0.093 0.069 0.619 1
Tl2 Tl 0.386 0.052 0.245 1
Tl3 Tl 0.616 0.779 0.684 1
Tl4 Tl 0.657 0.600 0.145 1
O1 O 0.086 0.428 0.606 1
O2 O 0.125 0.816 0.223 1
O3 O 0.219 0.788 0.798 1
O4 O 0.253 0.295 0.905 1
O5 O 0.354 0.437 0.346 1
O6 O 0.480 0.042 0.491 1
O7 O 0.541 0.424 0.658 1
O8 O 0.634 0.219 0.072 1
O9 O 0.750 0.044 0.805 1
O10 O 0.794 0.521 0.864 1
O11 O 0.837 0.416 0.366 1
O12 O 0.943 0.822 0.511 1
# total energy after the MP2020 corrections	-133.507	eV for the cell shown
# magnetic moment	0.00	μB per cell
# energy of formation from the pure elements	-2.27	eV per atom
# ΔE to the lowest computed polymorph	0	meV/atom

***

Entry 2:
# Ho2GaCo2 (PBE, relaxed)
data_Ho2GaCo2
_cell_length_a 4.032
_cell_length_b 5.422
_cell_length_c 8.316
_cell_angle_alpha 90.00
_cell_angle_beta 90.00
_cell_angle_gamma 90.00
_space_group_name_H-M_alt 'I m m m'
_space_group_IT_number 71
_space_group_name_Hall '-I 2 2'
loop_
_atom_site_label
_atom_site_type_symbol
_atom_site_fract_x
_atom_site_fract_y
_atom_site_fract_z
_atom_site_occupancy
Ho1 Ho 0.000 0.000 0.206 1
Ga1 Ga 0.000 0.500 0.000 1
Co1 Co 0.000 0.286 0.500 1
# energy of formation from the pure elements	-0.43	eV per atom

***

Entry 3:
# SrCd6 (PBE, relaxed)
data_SrCd6
_cell_length_a 16.119
_cell_length_b 16.188
_cell_length_c 16.295
_cell_angle_alpha 90.00
_cell_angle_beta 90.00
_cell_angle_gamma 90.00
_space_group_name_H-M_alt 'I m m m'
_space_group_IT_number 71
_space_group_name_Hall '-I 2 2'
loop_
_atom_site_label
_atom_site_type_symbol
_atom_site_fract_x
_atom_site_fract_y
_atom_site_fract_z
_atom_site_occupancy
Sr1 Sr 0.000 0.189 0.198 1
Sr2 Sr 0.186 0.300 0.500 1
Sr3 Sr 0.205 0.500 0.187 1
Cd1 Cd 0.000 0.000 0.088 1
Cd2 Cd 0.000 0.239 0.406 1
Cd3 Cd 0.000 0.313 0.000 1
Cd4 Cd 0.000 0.404 0.154 1
Cd5 Cd 0.000 0.407 0.500 1
Cd6 Cd 0.000 0.500 0.308 1
Cd7 Cd 0.091 0.000 0.413 1
Cd8 Cd 0.094 0.500 0.000 1
Cd9 Cd 0.096 0.000 0.238 1
Cd10 Cd 0.097 0.156 0.000 1
Cd11 Cd 0.119 0.341 0.300 1
Cd12 Cd 0.155 0.500 0.404 1
Cd13 Cd 0.158 0.300 0.117 1
Cd14 Cd 0.160 0.162 0.338 1
Cd15 Cd 0.187 0.000 0.000 1
Cd16 Cd 0.201 0.121 0.156 1
Cd17 Cd 0.244 0.096 0.500 1
# magnetic moment	0.01	μB per cell
# energy of formation from the pure elements	-0.19	eV per atom

***

Entry 4:
# Re3Pd (PBE, relaxed)
data_Re3Pd
_cell_length_a 5.5788
_cell_length_b 5.5788
_cell_length_c 4.4425
_cell_angle_alpha 90.00
_cell_angle_beta 90.00
_cell_angle_gamma 120.00
_space_group_name_H-M_alt 'P 63/m m c'
_space_group_IT_number 194
_space_group_name_Hall '-P 6c 2c'
loop_
_atom_site_label
_atom_site_type_symbol
_atom_site_fract_x
_atom_site_fract_y
_atom_site_fract_z
_atom_site_occupancy
Re1 Re 0.1597 0.3194 0.2500 1
Pd1 Pd 0.3333 0.6667 0.7500 1
# energy of formation from the pure elements	-0.06	eV per atom

***

Entry 5:
# Na2Ti2Zn2SiS5O24 (PBE, relaxed)
data_Na2Ti2Zn2SiS5O24
_cell_length_a 8.665
_cell_length_b 8.669
_cell_length_c 22.574
_cell_angle_alpha 90.09
_cell_angle_beta 90.13
_cell_angle_gamma 119.86
_space_group_name_H-M_alt 'P 1'
_space_group_IT_number 1
loop_
_space_group_symop_operation_xyz
'x,y,z'
loop_
_atom_site_label
_atom_site_type_symbol
_atom_site_fract_x
_atom_site_fract_y
_atom_site_fract_z
_atom_site_occupancy
Na1 Na 0.000 0.000 0.000 1
Na2 Na 0.001 0.006 0.502 1
Na3 Na 0.333 0.673 0.167 1
Na4 Na 0.335 0.678 0.666 1
Na5 Na 0.657 0.340 0.338 1
Na6 Na 0.662 0.332 0.827 1
Ti1 Ti 0.010 0.005 0.848 1
Ti2 Ti 0.010 0.015 0.356 1
Ti3 Ti 0.319 0.684 0.017 1
Ti4 Ti 0.328 0.657 0.516 1
Ti5 Ti 0.666 0.346 0.976 1
Ti6 Ti 0.682 0.353 0.185 1
Zn1 Zn 0.000 0.007 0.645 1
Zn2 Zn 0.000 0.997 0.145 1
Zn3 Zn 0.335 0.671 0.316 1
Zn4 Zn 0.339 0.684 0.813 1
Zn5 Zn 0.656 0.337 0.480 1
Zn6 Zn 0.665 0.335 0.679 1
Si1 Si 0.335 0.968 0.911 1
Si2 Si 0.345 0.388 0.411 1
Si3 Si 0.956 0.635 0.079 1
S1 S 0.000 0.294 0.246 1
S2 S 0.042 0.382 0.914 1
S3 S 0.043 0.672 0.413 1
S4 S 0.292 0.006 0.247 1
S5 S 0.292 0.301 0.747 1
S6 S 0.371 0.043 0.580 1
S7 S 0.381 0.343 0.080 1
S8 S 0.622 0.675 0.914 1
S9 S 0.624 0.963 0.413 1
S10 S 0.666 0.054 0.080 1
S11 S 0.668 0.635 0.581 1
S12 S 0.708 0.718 0.246 1
S13 S 0.711 0.007 0.747 1
S14 S 0.958 0.340 0.580 1
S15 S 0.999 0.713 0.746 1
O1 O 0.020 0.200 0.909 1
O2 O 0.023 0.213 0.192 1
O3 O 0.025 0.822 0.694 1
O4 O 0.026 0.839 0.407 1
O5 O 0.114 0.486 0.861 1
O6 O 0.120 0.650 0.358 1
O7 O 0.141 0.509 0.573 1
O8 O 0.148 0.637 0.073 1
O9 O 0.149 0.477 0.251 1
O10 O 0.153 0.188 0.404 1
O11 O 0.154 0.987 0.905 1
O12 O 0.155 0.465 0.968 1
O13 O 0.156 0.693 0.753 1
O14 O 0.158 0.709 0.467 1
O15 O 0.184 0.220 0.694 1
O16 O 0.187 0.979 0.194 1
O17 O 0.191 0.021 0.586 1
O18 O 0.198 0.183 0.802 1
O19 O 0.204 0.187 0.085 1
O20 O 0.205 0.034 0.301 1
O21 O 0.298 0.839 0.972 1
O22 O 0.301 0.478 0.471 1
O23 O 0.306 0.475 0.756 1
O24 O 0.314 0.849 0.255 1
O25 O 0.354 0.861 0.572 1
O26 O 0.363 0.495 0.353 1
O27 O 0.373 0.509 0.074 1
O28 O 0.376 0.889 0.855 1
O29 O 0.450 0.150 0.527 1
O30 O 0.464 0.315 0.027 1
O31 O 0.467 0.310 0.746 1
O32 O 0.471 0.172 0.242 1
O33 O 0.479 0.116 0.635 1
O34 O 0.492 0.367 0.134 1
O35 O 0.502 0.655 0.572 1
O36 O 0.503 0.164 0.927 1
O37 O 0.504 0.349 0.420 1
O38 O 0.505 0.872 0.074 1
O39 O 0.517 0.635 0.860 1
O40 O 0.520 0.892 0.359 1
O41 O 0.528 0.692 0.251 1
O42 O 0.535 0.845 0.752 1
O43 O 0.539 0.699 0.968 1
O44 O 0.541 0.850 0.466 1
O45 O 0.630 0.527 0.635 1
O46 O 0.632 0.132 0.134 1
O47 O 0.647 0.515 0.923 1
O48 O 0.658 0.145 0.422 1
O49 O 0.685 0.160 0.027 1
O50 O 0.691 0.532 0.240 1
O51 O 0.696 0.556 0.527 1
O52 O 0.698 0.171 0.745 1
O53 O 0.788 0.820 0.192 1
O54 O 0.793 0.984 0.693 1
O55 O 0.803 0.836 0.909 1
O56 O 0.803 0.971 0.406 1
O57 O 0.819 0.795 0.300 1
O58 O 0.823 0.816 0.586 1
O59 O 0.824 0.027 0.802 1
O60 O 0.827 0.040 0.085 1
O61 O 0.828 0.304 0.241 1
O62 O 0.831 0.523 0.024 1
O63 O 0.832 0.539 0.745 1
O64 O 0.853 0.315 0.526 1
O65 O 0.858 0.502 0.138 1
O66 O 0.860 0.360 0.923 1
O67 O 0.866 0.518 0.421 1
O68 O 0.888 0.376 0.634 1
O69 O 0.970 0.183 0.300 1
O70 O 0.977 0.827 0.083 1
O71 O 0.979 0.808 0.801 1
O72 O 0.986 0.186 0.585 1
# total energy after the MP2020 corrections	-743.668	eV for the cell shown
# magnetic moment	0.00	μB per cell
# energy of formation from the pure elements	-2.28	eV per atom

***

Entry 6:
# Bi3Au (PBE, relaxed)
data_Bi3Au
_cell_length_a 4.826
_cell_length_b 4.826
_cell_length_c 4.826
_cell_angle_alpha 90.00
_cell_angle_beta 90.00
_cell_angle_gamma 90.00
_space_group_name_H-M_alt 'P m -3 m'
_space_group_IT_number 221
_space_group_name_Hall '-P 4 2 3'
loop_
_atom_site_label
_atom_site_type_symbol
_atom_site_fract_x
_atom_site_fract_y
_atom_site_fract_z
_atom_site_occupancy
Bi1 Bi 0.000 0.000 0.500 1
Au1 Au 0.500 0.500 0.500 1
# magnetic moment	0.00	μB per cell
# energy of formation from the pure elements	0.16	eV per atom
# ΔE to the lowest computed polymorph	10	meV/atom

***

Entry 7:
# Y3Sn (PBE, relaxed)
data_Y3Sn
_cell_length_a 7.692
_cell_length_b 7.692
_cell_length_c 7.692
_cell_angle_alpha 90.00
_cell_angle_beta 90.00
_cell_angle_gamma 90.00
_space_group_name_H-M_alt 'F m -3 m'
_space_group_IT_number 225
_space_group_name_Hall '-F 4 2 3'
loop_
_atom_site_label
_atom_site_type_symbol
_atom_site_fract_x
_atom_site_fract_y
_atom_site_fract_z
_atom_site_occupancy
Y1 Y 0.000 0.000 0.000 1
Y2 Y 0.250 0.250 0.250 1
Sn1 Sn 0.000 0.000 0.500 1
# magnetic moment	3.98	μB per cell
# energy of formation from the pure elements	-0.24	eV per atom

***

Entry 8:
# K2LiErCl6 (PBE, relaxed)
data_K2LiErCl6
_cell_length_a 10.341
_cell_length_b 10.341
_cell_length_c 10.341
_cell_angle_alpha 90.00
_cell_angle_beta 90.00
_cell_angle_gamma 90.00
_space_group_name_H-M_alt 'F m -3 m'
_space_group_IT_number 225
_space_group_name_Hall '-F 4 2 3'
loop_
_atom_site_label
_atom_site_type_symbol
_atom_site_fract_x
_atom_site_fract_y
_atom_site_fract_z
_atom_site_occupancy
K1 K 0.250 0.250 0.250 1
Li1 Li 0.000 0.000 0.000 1
Er1 Er 0.000 0.000 0.500 1
Cl1 Cl 0.000 0.000 0.248 1
# total energy after the MP2020 corrections	-176.673	eV for the cell shown
# magnetic moment	0.00	μB per cell
# energy of formation from the pure elements	-2.44	eV per atom

***

Entry 9:
# Na4Y3TaP6O24 (PBE, relaxed)
data_Na4Y3TaP6O24
_cell_length_a 9.157
_cell_length_b 9.158
_cell_length_c 23.382
_cell_angle_alpha 90.05
_cell_angle_beta 90.06
_cell_angle_gamma 119.95
_space_group_name_H-M_alt 'P 1'
_space_group_IT_number 1
loop_
_space_group_symop_operation_xyz
'x,y,z'
loop_
_atom_site_label
_atom_site_type_symbol
_atom_site_fract_x
_atom_site_fract_y
_atom_site_fract_z
_atom_site_occupancy
Na1 Na 0.000 0.000 0.000 1
Na2 Na 0.000 0.000 0.490 1
Na3 Na 0.006 0.372 0.248 1
Na4 Na 0.026 0.333 0.913 1
Na5 Na 0.308 0.973 0.914 1
Na6 Na 0.318 0.652 0.824 1
Na7 Na 0.334 0.685 0.334 1
Na8 Na 0.625 0.996 0.741 1
Na9 Na 0.630 0.632 0.248 1
Na10 Na 0.654 0.320 0.160 1
Na11 Na 0.667 0.348 0.658 1
Na12 Na 0.667 0.694 0.914 1
Y1 Y 0.005 0.000 0.352 1
Y2 Y 0.005 0.000 0.843 1
Y3 Y 0.325 0.658 0.678 1
Y4 Y 0.334 0.668 0.989 1
Y5 Y 0.334 0.675 0.177 1
Y6 Y 0.657 0.323 0.317 1
Y7 Y 0.667 0.343 0.805 1
Y8 Y 0.668 0.333 0.514 1
Y9 Y 0.669 0.335 0.017 1
Ta1 Ta 0.003 0.000 0.145 1
Ta2 Ta 0.003 0.000 0.640 1
Ta3 Ta 0.333 0.665 0.481 1
P1 P 0.029 0.352 0.082 1
P2 P 0.045 0.679 0.579 1
P3 P 0.292 0.290 0.244 1
P4 P 0.295 0.003 0.742 1
P5 P 0.322 0.366 0.579 1
P6 P 0.324 0.974 0.079 1
P7 P 0.369 0.022 0.417 1
P8 P 0.371 0.338 0.913 1
P9 P 0.633 0.954 0.582 1
P10 P 0.648 0.676 0.083 1
P11 P 0.654 0.631 0.414 1
P12 P 0.664 0.034 0.910 1
P13 P 0.713 0.712 0.741 1
P14 P 0.716 0.003 0.244 1
P15 P 0.967 0.630 0.913 1
P16 P 0.977 0.346 0.414 1
P17 P 0.995 0.707 0.244 1
P18 P 0.997 0.287 0.743 1
O1 O 0.009 0.212 0.800 1
O2 O 0.011 0.198 0.410 1
O3 O 0.014 0.807 0.298 1
O4 O 0.015 0.174 0.091 1
O5 O 0.037 0.848 0.586 1
O6 O 0.119 0.462 0.134 1
O7 O 0.120 0.655 0.633 1
O8 O 0.132 0.427 0.027 1
O9 O 0.142 0.672 0.239 1
O10 O 0.144 0.647 0.918 1
O11 O 0.148 0.463 0.739 1
O12 O 0.153 0.189 0.586 1
O13 O 0.154 0.511 0.427 1
O14 O 0.161 0.986 0.090 1
O15 O 0.165 0.701 0.528 1
O16 O 0.183 0.007 0.691 1
O17 O 0.186 0.209 0.296 1
O18 O 0.188 0.989 0.412 1
O19 O 0.191 0.177 0.190 1
O20 O 0.191 0.180 0.908 1
O21 O 0.208 0.989 0.799 1
O22 O 0.294 0.876 0.022 1
O23 O 0.297 0.463 0.528 1
O24 O 0.310 0.466 0.237 1
O25 O 0.321 0.850 0.738 1
O26 O 0.345 0.877 0.128 1
O27 O 0.348 0.466 0.633 1
O28 O 0.351 0.497 0.919 1
O29 O 0.356 0.844 0.428 1
O30 O 0.455 0.311 0.965 1
O31 O 0.457 0.135 0.467 1
O32 O 0.468 0.335 0.571 1
O33 O 0.469 0.165 0.739 1
O34 O 0.469 0.309 0.245 1
O35 O 0.471 0.092 0.361 1
O36 O 0.474 0.152 0.077 1
O37 O 0.478 0.362 0.859 1
O38 O 0.490 0.645 0.428 1
O39 O 0.504 0.857 0.917 1
O40 O 0.530 0.829 0.531 1
O41 O 0.538 0.657 0.134 1
O42 O 0.538 0.883 0.637 1
O43 O 0.542 0.845 0.238 1
O44 O 0.543 0.706 0.737 1
O45 O 0.574 0.706 0.027 1
O46 O 0.621 0.533 0.357 1
O47 O 0.641 0.112 0.854 1
O48 O 0.665 0.132 0.572 1
O49 O 0.676 0.526 0.079 1
O50 O 0.676 0.536 0.463 1
O51 O 0.690 0.149 0.961 1
O52 O 0.701 0.540 0.739 1
O53 O 0.713 0.170 0.245 1
O54 O 0.787 0.802 0.798 1
O55 O 0.798 0.981 0.297 1
O56 O 0.802 0.812 0.411 1
O57 O 0.811 0.964 0.587 1
O58 O 0.821 0.011 0.907 1
O59 O 0.826 0.282 0.740 1
O60 O 0.826 0.536 0.244 1
O61 O 0.826 0.840 0.091 1
O62 O 0.831 0.015 0.191 1
O63 O 0.831 0.823 0.690 1
O64 O 0.850 0.323 0.079 1
O65 O 0.856 0.548 0.965 1
O66 O 0.860 0.323 0.463 1
O67 O 0.867 0.534 0.571 1
O68 O 0.884 0.523 0.859 1
O69 O 0.910 0.376 0.356 1
O70 O 0.989 0.812 0.191 1
O71 O 0.990 0.810 0.908 1
O72 O 0.993 0.170 0.692 1
# total energy after the MP2020 corrections	-914.824	eV for the cell shown
# magnetic moment	0.00	μB per cell
# energy of formation from the pure elements	-3.08	eV per atom

***

Entry 10:
# LuNi4As2 (PBE, relaxed)
data_LuNi4As2
_cell_length_a 7.190
_cell_length_b 7.190
_cell_length_c 3.765
_cell_angle_alpha 90.00
_cell_angle_beta 90.00
_cell_angle_gamma 90.00
_space_group_name_H-M_alt 'P 42/m n m'
_space_group_IT_number 136
_space_group_name_Hall '-P 4n 2n'
loop_
_atom_site_label
_atom_site_type_symbol
_atom_site_fract_x
_atom_site_fract_y
_atom_site_fract_z
_atom_site_occupancy
Lu1 Lu 0.000 0.000 0.000 1
Ni1 Ni 0.090 0.346 0.500 1
As1 As 0.217 0.783 0.500 1
# energy of formation from the pure elements	-0.61	eV per atom